Co4GeP4H12O22: relaxed, GGA+U.

As for the space group: P2_1/c. Its MP2020-corrected energy is -6.56 eV per atom. The formation energy comes out at -1811 meV/atom.

a = 6.5343 Å, b = 7.6254 Å, c = 16.5611 Å
α = 90.00°, β = 90.00°, γ = 97.62°
Positions (direct):
Co: 0.8065 0.2366 0.3546
Co: 0.3065 0.7366 0.1454
Co: 0.1935 0.7634 0.6454
Co: 0.6935 0.2634 0.8546
Co: 0.5681 0.4728 0.2320
Co: 0.0681 0.9728 0.2680
Co: 0.4319 0.5272 0.7680
Co: 0.9319 0.0272 0.7320
Ge: 0.5000 0.0000 0.5000
Ge: 0.0000 0.5000 0.0000
P: 0.3226 0.2803 0.3893
P: 0.8226 0.7803 0.1107
P: 0.6774 0.7197 0.6107
P: 0.1774 0.2197 0.8893
P: 0.5415 0.8688 0.3115
P: 0.0415 0.3688 0.1885
P: 0.4585 0.1312 0.6885
P: 0.9585 0.6312 0.8115
H: 0.5962 0.3302 0.0940
H: 0.0962 0.8302 0.4060
H: 0.4038 0.6698 0.9060
H: 0.9038 0.1698 0.5940
H: 0.5718 0.1641 0.1515
H: 0.0718 0.6641 0.3485
H: 0.4282 0.8359 0.8485
H: 0.9282 0.3359 0.6515
H: 0.7772 0.4928 0.4861
H: 0.2772 0.9928 0.0139
H: 0.2228 0.5072 0.5139
H: 0.7228 0.0072 0.9861
H: 0.7550 0.5697 0.3993
H: 0.2550 0.0697 0.1007
H: 0.2450 0.4303 0.6007
H: 0.7450 0.9303 0.8993
H: 0.7601 0.2330 0.4982
H: 0.2601 0.7330 0.0018
H: 0.2399 0.7670 0.5018
H: 0.7399 0.2670 0.9982
H: 0.4021 0.5656 0.3756
H: 0.9021 0.0656 0.1244
H: 0.5979 0.4344 0.6244
H: 0.0979 0.9344 0.8756
O: 0.5289 0.2811 0.1433
O: 0.0289 0.7811 0.3567
O: 0.4711 0.7189 0.8567
O: 0.9711 0.2189 0.6433
O: 0.8209 0.4812 0.4294
O: 0.3209 0.9812 0.0706
O: 0.1791 0.5188 0.5706
O: 0.6791 0.0188 0.9294
O: 0.1192 0.1807 0.3569
O: 0.6192 0.6807 0.1431
O: 0.8808 0.8193 0.6431
O: 0.3808 0.3193 0.8569
O: 0.5014 0.2860 0.3281
O: 0.0014 0.7860 0.1719
O: 0.4986 0.7140 0.6719
O: 0.9986 0.2140 0.8281
O: 0.5724 0.6692 0.3182
O: 0.0724 0.1692 0.1818
O: 0.4276 0.3308 0.6818
O: 0.9276 0.8308 0.8182
O: 0.7459 0.9912 0.2952
O: 0.2459 0.4912 0.2048
O: 0.2541 0.0088 0.7048
O: 0.7541 0.5088 0.7952
O: 0.8753 0.3963 0.2538
O: 0.3753 0.8963 0.2462
O: 0.1247 0.6037 0.7462
O: 0.6247 0.1037 0.7538
O: 0.7620 0.1201 0.4709
O: 0.2620 0.6201 0.0291
O: 0.2380 0.8799 0.5291
O: 0.7380 0.3799 0.9709
O: 0.2903 0.4832 0.4062
O: 0.7903 0.9832 0.0938
O: 0.7097 0.5168 0.5938
O: 0.2097 0.0168 0.9062
O: 0.3791 0.2123 0.4737
O: 0.8791 0.7123 0.0263
O: 0.6209 0.7877 0.5263
O: 0.1209 0.2877 0.9737
O: 0.4437 0.9141 0.3939
O: 0.9437 0.4141 0.1061
O: 0.5563 0.0859 0.6061
O: 0.0563 0.5859 0.8939